Density functional theory data (GGA+U) for Mo3NO9 after structural relaxation.

The calculation puts the calculated volume at 398 Å³/cell. For the relative energy among the computed polymorphs, the calculation gives 0.319 eV/atom. The calculation puts the energy of formation at -1.4027 eV/atom.

The space group is P6_3/m (No. 176) and the conventional cell measures 11.2793, 11.2793 and 3.6166 Å, with angles of 90.00, 90.00 and 120.00 degrees. The asymmetric unit holds Mo at (0.1093, 0.4607, 0.2500), N at (0.0000, 0.0000, 0.0000), O at (0.0153, 0.2862, 0.2500), O at (0.0801, 0.5060, 0.7500) and O at (0.2181, 0.7210, 0.2500).